Material: KMoPClO5
Method: DFT, PBE+U
State: relaxed

Geometry as POSCAR:
```
KMoPClO5
1.0
6.5538 0.0000 0.0000
0.0000 6.5538 0.0000
0.0000 0.0000 7.4301
K Mo P Cl O
2 2 2 2 10
Cartesian
1.6385 4.9154 0.0000
4.9154 1.6385 0.0000
1.6385 1.6385 3.0072
4.9154 4.9154 4.4229
1.6385 4.9154 3.7151
4.9154 1.6385 3.7151
1.6385 1.6385 0.4083
4.9154 4.9154 7.0218
0.4177 4.9154 4.6694
1.6385 1.6385 4.7090
1.6385 3.6946 2.7607
1.6385 6.1362 2.7607
2.8593 4.9154 4.6694
3.6946 1.6385 2.7607
4.9154 0.4177 4.6694
4.9154 2.8593 4.6694
4.9154 4.9154 2.7211
6.1362 1.6385 2.7607
```

SG ... P4/nmm (129)
Total magnetic moment ... 2.0 μB per cell
Calculated formation energy ... -2286 meV per atom

Material: Sr2MgMoO6
Method: DFT, PBE+U
State: relaxed

Geometry as POSCAR:
```
Sr2MgMoO6
1.0
-2.8197 2.8197 4.0199
2.8197 -2.8197 4.0199
2.8197 2.8197 -4.0199
Sr Mg Mo O
2 1 1 6
Cartesian
2.8197 0.0000 2.0099
0.0000 2.8197 2.0099
0.0000 0.0000 0.0000
0.0000 0.0000 4.0199
3.9974 1.2755 0.0000
0.0000 0.0000 2.0757
1.2755 1.6421 0.0000
1.5442 1.1777 4.0199
0.0000 0.0000 5.9640
-1.1777 1.5442 4.0199
```

SG ... I4/m (87)
Total magnetic moment ... 0.0 μB per cell
Calculated formation energy ... -2864 meV per atom

Material: Li2V3O6
Method: DFT, PBE+U
State: relaxed

Geometry as POSCAR:
```
Li2V3O6
1.0
5.1833 0.0000 0.0000
0.8875 6.6253 0.0000
0.9841 0.6813 6.6447
Li V O
4 6 12
Cartesian
0.0000 0.0000 0.0000
0.9324 4.5967 2.2534
3.5927 1.6100 5.5776
3.5819 3.6453 3.2861
2.7050 6.4412 3.8914
1.7990 1.8008 1.6713
2.7563 4.4787 6.1114
4.3887 0.8090 2.7648
5.3164 5.4010 5.0281
4.3889 2.8302 0.5438
1.6997 6.6525 2.1014
1.8523 4.6853 4.2592
1.9223 2.6401 6.5131
2.6405 3.5765 1.3107
3.6017 6.2953 5.6644
2.8068 1.5813 3.4889
4.4633 3.7174 5.3022
3.5795 1.0165 0.9406
4.5055 5.6151 3.2072
5.1746 0.5454 4.6548
5.2130 2.6060 2.3877
5.2649 4.6243 0.1598
```

SG ... P1 (1)
Total magnetic moment ... 10.0 μB per cell
Calculated formation energy ... -2459 meV per atom

Material: Ba2YMn3O7
Method: DFT, PBE+U
State: relaxed

Geometry as POSCAR:
```
Ba2YMn3O7
1.0
3.9471 0.0000 0.0000
0.0000 4.0724 0.0000
0.0000 0.0000 11.8537
Ba Y Mn O
2 1 3 7
Cartesian
0.0000 0.0000 2.1455
0.0000 0.0000 9.7082
0.0000 0.0000 5.9268
1.9736 2.0362 0.0000
1.9736 2.0362 4.1012
1.9736 2.0362 7.7525
0.0000 2.0362 4.5136
0.0000 2.0362 7.3401
1.9736 0.0000 0.0000
1.9736 0.0000 4.4981
1.9736 0.0000 7.3556
1.9736 2.0362 1.9730
1.9736 2.0362 9.8806
```

SG ... Pmmm (47)
Total magnetic moment ... 13.3 μB per cell
Calculated formation energy ... -2643 meV per atom

Material: Li7Co5O12
Method: DFT, PBE+U
State: relaxed

Geometry as POSCAR:
```
Li7Co5O12
1.0
4.9668 0.0000 0.0000
0.0000 2.9762 0.0000
-0.5578 0.0000 14.4162
Li Co O
7 5 12
Cartesian
0.0000 0.0000 0.0000
-0.2789 0.0000 7.2081
0.6707 1.4881 2.3327
1.1843 0.0000 12.0957
2.2045 1.4881 7.2081
3.2247 0.0000 2.3205
3.7383 1.4881 12.0835
0.4635 1.4881 9.6454
1.4654 0.0000 4.7776
2.4834 1.4881 0.0000
2.9437 0.0000 9.6386
3.9456 1.4881 4.7708
-0.0937 0.0000 3.6341
0.5699 1.4881 5.8896
0.5019 1.4881 13.3501
1.3525 0.0000 8.5119
1.7104 0.0000 1.0263
2.0330 1.4881 10.7494
2.3760 1.4881 3.6668
2.6987 0.0000 13.3899
3.0565 0.0000 5.9043
3.9071 1.4881 1.0660
3.8392 1.4881 8.5266
4.5028 0.0000 10.7821
```

SG ... P2/m (10)
Total magnetic moment ... 0.0 μB per cell
Calculated formation energy ... -1664 meV per atom

Material: LiVSn3P6O24
Method: DFT, PBE+U
State: relaxed

Geometry as POSCAR:
```
LiVSn3P6O24
1.0
4.3566 2.5153 7.3484
-4.3566 2.5153 7.3484
0.0000 -5.0305 7.3484
Li V Sn P O
1 1 3 6 24
Cartesian
0.0000 0.0000 0.0000
0.0000 0.0000 3.1961
0.0000 0.0000 7.8885
0.0000 0.0000 14.1241
0.0000 0.0000 18.8220
-3.1297 -0.2774 9.1735
-1.2596 -2.8731 12.8504
1.8051 -2.5716 9.1735
-1.8584 2.5274 12.8504
1.3246 2.8491 9.1735
3.1180 0.3457 12.8504
-0.8352 -1.3194 4.2414
-3.3799 -1.0938 10.4429
-3.7616 1.1544 9.3315
-2.7983 -2.7102 12.8011
-0.6559 -1.5579 6.7702
-0.7250 1.3830 4.2414
-1.6211 -0.1028 9.0839
0.8811 -3.8348 9.3315
-1.0213 1.3470 6.7702
1.5602 -0.0636 4.2414
-0.5407 -1.5246 12.8555
0.8996 -1.3525 9.0839
-1.7079 -0.3329 15.2637
1.6771 0.2110 6.7701
-1.0500 1.2305 12.8555
0.7215 1.4553 9.0839
2.6372 -2.3801 10.4429
-0.9479 3.7784 12.8012
1.1423 -1.3126 15.2637
1.5907 0.2941 12.8555
0.7427 3.4739 10.4429
0.5656 1.6455 15.2637
2.8805 2.6805 9.3315
3.7462 -1.0683 12.8011
```

SG ... R3 (146)
Total magnetic moment ... 0.0 μB per cell
Calculated formation energy ... -2498 meV per atom

Material: LiV4CuO12
Method: DFT, PBE+U
State: relaxed

Geometry as POSCAR:
```
LiV4CuO12
1.0
5.0038 0.0000 0.0000
0.0196 5.3893 0.0000
0.0209 0.6986 7.3100
Li V Cu O
1 4 1 12
Cartesian
0.0000 0.0000 0.0000
0.0588 3.2956 2.0561
2.4815 0.8485 5.8245
2.5554 0.4864 2.0698
5.0016 3.5539 5.7301
2.5350 2.9004 3.6333
0.5137 3.3081 0.4365
1.0286 5.4282 5.5794
1.0604 1.9518 2.6982
1.5902 2.8052 5.3793
1.6402 4.5013 2.7331
1.9241 0.5966 0.4522
3.0454 1.0628 4.0862
3.4984 2.4265 1.9472
3.5633 4.9796 6.2679
4.0988 5.1167 1.8056
4.1413 2.2339 6.3586
4.3180 3.6516 4.0977
```

SG ... P1 (1)
Total magnetic moment ... 2.0 μB per cell
Calculated formation energy ... -2042 meV per atom

Material: Sr2Mn2GaO7
Method: DFT, PBE+U
State: relaxed

Geometry as POSCAR:
```
Sr2Mn2GaO7
1.0
-12.4622 2.7230 2.6523
12.4622 -2.7230 2.6523
12.4622 2.7230 -2.6523
Sr Mn Ga O
4 4 2 14
Cartesian
3.9173 0.0670 0.0000
8.5449 0.0670 0.0000
3.9173 2.6559 2.6523
8.5449 2.6559 2.6523
1.8846 -0.0414 2.6686
10.5776 -0.0414 2.6686
1.8846 2.7644 0.0163
10.5776 2.7644 0.0163
6.2311 -0.3765 2.4191
6.2311 3.0995 -0.2332
10.5414 1.3638 -1.3260
14.3830 -1.3591 1.3263
14.6072 1.3721 -1.3129
10.3172 -1.3509 1.3394
18.6933 0.5902 0.5102
4.4784 2.5124 0.0941
7.9838 2.5124 0.0941
1.9208 1.3591 1.3263
10.5414 1.3591 1.3263
-2.1450 1.3509 1.3394
14.6072 1.3509 1.3394
4.4784 0.2105 2.7464
7.9838 0.2105 2.7464
-6.2311 2.1327 3.1625
```

SG ... Ima2 (46)
Total magnetic moment ... 14.0 μB per cell
Calculated formation energy ... -2289 meV per atom

Material: LiLa2Mn3O9
Method: DFT, PBE+U
State: relaxed

Geometry as POSCAR:
```
LiLa2Mn3O9
1.0
5.4506 0.0000 0.0000
-2.7253 4.7204 0.0000
0.0000 0.0000 6.6915
Li La Mn O
1 2 3 9
Cartesian
0.0000 0.0000 0.0000
0.0000 3.1469 2.1542
2.7253 1.5735 4.5372
0.0000 0.0000 3.3457
0.0000 3.1469 5.5992
2.7253 1.5735 1.0923
-1.3627 2.3602 0.0000
0.0000 1.6114 4.4053
-1.3298 3.9147 4.4053
1.3955 0.8057 2.2862
2.7253 0.0000 0.0000
1.3627 2.3602 0.0000
1.3298 3.9147 4.4053
4.0551 0.8057 2.2862
2.7253 3.1090 2.2862
```

SG ... P-3m1 (164)
Total magnetic moment ... 10.0 μB per cell
Calculated formation energy ... -2566 meV per atom

Material: MgVPbO3
Method: DFT, PBE+U
State: relaxed

Geometry as POSCAR:
```
MgVPbO3
1.0
3.9600 0.0000 0.0000
0.0000 3.9860 0.0000
0.0000 0.0000 6.3373
Mg V Pb O
1 1 1 3
Cartesian
0.0000 0.0000 0.0000
1.9800 0.0000 2.0739
0.0000 1.9930 3.9793
0.0000 0.0000 2.0520
1.9800 0.0000 0.1396
1.9800 1.9930 2.7337
```

SG ... Pmm2 (25)
Total magnetic moment ... 0.0 μB per cell
Calculated formation energy ... -1731 meV per atom

Material: KW9O27
Method: DFT, PBE+U
State: relaxed

Geometry as POSCAR:
```
KW9O27
1.0
7.5098 0.0000 0.0000
-3.7549 6.5037 0.0000
0.0000 0.0000 46.3774
K W O
4 36 108
Cartesian
0.0000 0.0000 2.1477
0.0000 0.0000 9.6977
0.0000 0.0000 36.6797
0.0000 0.0000 44.2297
-1.8381 3.1837 19.3381
-1.8381 3.1837 27.0393
-1.8624 3.2258 11.6225
-1.8624 3.2258 34.7549
-1.8745 3.2466 0.0000
-1.8738 3.2455 3.8797
-1.8738 3.2455 42.4977
-1.8858 3.2663 7.7432
-1.8858 3.2663 38.6343
-1.9117 3.3111 15.4876
-1.9117 3.3111 30.8899
-1.9181 3.3223 23.1887
1.8368 3.1814 23.1887
3.6763 0.0000 19.3381
3.6763 0.0000 27.0393
1.8432 3.1926 15.4876
1.8432 3.1926 30.8899
3.7248 0.0000 11.6225
3.7248 0.0000 34.7549
1.8691 3.2373 7.7432
1.8691 3.2373 38.6343
3.7489 0.0000 0.0000
3.7475 0.0000 3.8797
3.7475 0.0000 42.4977
1.8805 3.2570 0.0000
1.8811 3.2582 3.8797
1.8811 3.2582 42.4977
3.7716 0.0000 7.7432
3.7716 0.0000 38.6343
1.8925 3.2779 11.6225
1.8925 3.2779 34.7549
3.8234 0.0000 15.4876
3.8234 0.0000 30.8899
1.9168 3.3200 19.3381
1.9168 3.3200 27.0393
3.8362 0.0000 23.1887
-1.8752 3.2480 1.9235
-1.8752 3.2480 44.4539
-1.8766 3.2503 5.7911
-1.8793 3.2551 9.6539
-1.8770 3.2511 13.5037
-1.8766 3.2503 21.2551
-1.8766 3.2503 25.1223
-1.8770 3.2511 32.8737
-1.8793 3.2551 36.7235
-1.8766 3.2503 40.5863
-1.8806 3.2573 17.3825
-1.8806 3.2573 28.9949
-1.3891 5.1339 0.0000
0.0033 2.7337 0.0000
-0.0031 2.7551 7.7704
-0.0031 2.7551 38.6071
-1.3733 5.1270 3.8113
-1.3729 5.1227 11.5892
-1.3729 5.1227 34.7883
-1.3733 5.1270 42.5661
0.0014 2.7509 3.8113
0.0049 2.7534 11.5892
0.0049 2.7534 34.7883
0.0014 2.7509 42.5661
-0.0121 2.7762 15.4130
-0.0129 2.7747 23.1887
-0.0121 2.7762 30.9644
-1.3574 5.1051 19.3463
-1.3574 5.1051 27.0311
-1.3674 5.1288 7.7704
-1.3674 5.1288 38.6071
0.0124 2.7756 19.3463
0.0124 2.7756 27.0311
-1.3446 5.1261 15.4130
-1.3455 5.1275 23.1887
-1.3446 5.1261 30.9644
2.3658 1.3698 0.0000
2.3817 1.3767 3.8113
2.3820 1.3809 11.5892
2.3820 1.3809 34.7883
2.3817 1.3767 42.5661
2.3875 1.3749 7.7704
2.3875 1.3749 38.6071
2.4103 1.3776 15.4130
2.4094 1.3762 23.1887
2.4103 1.3776 30.9644
2.3975 1.3986 19.3463
2.3975 1.3986 27.0311
3.7504 0.0000 1.9235
3.7504 0.0000 44.4539
1.8743 3.2464 17.3825
1.8743 3.2464 28.9949
3.7531 0.0000 5.7911
3.7586 0.0000 9.6539
3.7541 0.0000 13.5037
3.7531 0.0000 21.2551
3.7531 0.0000 25.1223
3.7541 0.0000 32.8737
3.7586 0.0000 36.7235
3.7531 0.0000 40.5863
1.8783 3.2534 5.7911
1.8756 3.2486 9.6539
1.8779 3.2526 13.5037
1.8783 3.2534 21.2551
1.8783 3.2534 25.1223
1.8779 3.2526 32.8737
1.8756 3.2486 36.7235
1.8783 3.2534 40.5863
3.7612 0.0000 17.3825
3.7612 0.0000 28.9949
1.8797 3.2557 1.9235
1.8797 3.2557 44.4539
1.3567 5.1051 15.4130
1.3584 5.1052 23.1887
1.3567 5.1051 30.9644
1.3450 5.1267 19.3463
1.3450 5.1267 27.0311
1.3705 5.1235 7.7704
1.3705 5.1235 38.6071
1.3718 5.1295 3.8113
1.3680 5.1313 11.5892
1.3680 5.1313 34.7883
1.3718 5.1295 42.5661
1.3858 5.1397 0.0000
5.0999 1.3770 19.3463
5.0999 1.3770 27.0311
3.7428 3.7275 15.4130
3.7420 3.7290 23.1887
3.7428 3.7275 30.9644
5.1267 1.3742 3.8113
5.1229 1.3724 11.5892
5.1229 1.3724 34.7883
5.1267 1.3742 42.5661
5.1116 1.3985 15.4130
5.1133 1.3985 23.1887
5.1116 1.3985 30.9644
3.7673 3.7281 19.3463
3.7673 3.7281 27.0311
3.7518 3.7486 7.7704
3.7518 3.7486 38.6071
5.1407 1.3640 0.0000
5.1254 1.3802 7.7704
5.1254 1.3802 38.6071
3.7564 3.7528 3.8113
3.7598 3.7503 11.5892
3.7598 3.7503 34.7883
3.7564 3.7528 42.5661
3.7583 3.7700 0.0000
```

SG ... P-62m (189)
Total magnetic moment ... 0.0 μB per cell
Calculated formation energy ... -2207 meV per atom

- Which value of total magnetic moment does entry 8 give?
  14.0 μB per cell